#A
Li4Mn7P6O24 | GGA+U | optimized geometry

a b c (Å): 6.6392 8.3063 9.7470
angles (deg): 102.62 106.48 101.14
With the nearest neighbours (Å) after each atom.
Element x y z (fractional)
Li 0.0000 0.0000 0.0000  5 O 2.01-2.21
Li 0.0473 0.9240 0.2765  4 O 1.96-2.07
Li 0.1811 0.3999 0.4943  1 O 1.98
Li 0.4265 0.0704 0.9463  4 O 1.96-2.10
Mn 0.0112 0.3050 0.8882  5 O 2.13-2.25
Mn 0.0794 0.9253 0.6932  5 O 2.12-2.25
Mn 0.3930 0.0667 0.5218  5 O 2.12-2.27
Mn 0.4569 0.6970 0.3270  5 O 2.14-2.26
Mn 0.6505 0.7510 0.0651  5 O 2.01-2.23
Mn 0.7481 0.5025 0.6228  5 O 2.17-2.35
Mn 0.8034 0.2491 0.1574  5 O 2.04-2.26
P 0.1300 0.7263 0.9832  4 O 1.55-1.56
P 0.3318 0.2671 0.2374  4 O 1.53-1.60
P 0.4975 0.3491 0.8364  4 O 1.51-1.59
P 0.6359 0.9021 0.7724  4 O 1.53-1.59
P 0.8302 0.0870 0.4393  4 O 1.55-1.57
P 0.9685 0.6463 0.3818  4 O 1.53-1.57
O 0.0108 0.5517 0.8587  1 P 1.56
O 0.0412 0.0360 0.5132  1 P 1.57
O 0.1091 0.2519 0.1104  1 P 1.60
O 0.1827 0.7668 0.3837  1 P 1.57
O 0.1859 0.8690 0.9084  1 P 1.56
O 0.2754 0.1357 0.3205  1 P 1.54
O 0.2816 0.2285 0.8342  1 P 1.57
O 0.3383 0.7135 0.0993  1 P 1.56
O 0.4240 0.4467 0.3569  1 P 1.56
O 0.4279 0.9557 0.7020  1 P 1.55
O 0.4843 0.2234 0.1517  1 P 1.53
O 0.5030 0.3214 0.6707  1 P 1.59
O 0.5038 0.5342 0.8943  1 P 1.51
O 0.6257 0.7208 0.6890  1 P 1.53
O 0.6269 0.9644 0.4487  1 P 1.56
O 0.6631 0.9362 0.9430  1 P 1.58
O 0.6947 0.2971 0.9318  1 P 1.57
O 0.7672 0.6829 0.2778  1 P 1.56
O 0.8098 0.0536 0.2709  1 P 1.56
O 0.8502 0.0303 0.7773  1 P 1.59
O 0.8575 0.2757 0.5216  1 P 1.55
O 0.9525 0.6745 0.5427  1 P 1.57
O 0.9808 0.4614 0.3329  1 P 1.53
O 0.9833 0.7877 0.0705  1 P 1.55

=====

#B
Li4Mn7P6O24 | GGA+U | optimized geometry

a b c (Å): 9.0636 9.0636 6.6611
angles (deg): 99.55 99.55 106.03
With the nearest neighbours (Å) after each atom.
Element x y z (fractional)
Li 0.0000 0.0000 0.0000  4 O 2.24-2.35
Li 0.3261 0.5574 0.9932  2 O 2.02-2.19
Li 0.5574 0.3261 0.9932  2 O 2.02-2.19
Li 0.6398 0.6398 0.9134  2 O 2.07-2.28
Mn 0.0052 0.0052 0.4920  6 O 2.09-2.21
Mn 0.0060 0.6462 0.6760  5 O 2.09-2.25
Mn 0.0103 0.3664 0.2972  5 O 2.09-2.25
Mn 0.3425 0.6741 0.4850  4 O 2.06-2.15
Mn 0.3664 0.0103 0.2972  5 O 2.09-2.25
Mn 0.6462 0.0060 0.6760  5 O 2.09-2.25
Mn 0.6741 0.3425 0.4850  4 O 2.06-2.15
P 0.0855 0.7197 0.1853  4 O 1.53-1.58
P 0.2901 0.9156 0.7863  4 O 1.53-1.58
P 0.3335 0.3335 0.5755  4 O 1.51-1.57
P 0.6786 0.6786 0.4044  4 O 1.52-1.58
P 0.7197 0.0855 0.1853  4 O 1.53-1.58
P 0.9156 0.2901 0.7863  4 O 1.53-1.58
O 0.0353 0.6244 0.3523  1 P 1.57
O 0.0368 0.3693 0.9926  1 P 1.53
O 0.1114 0.9023 0.2506  1 P 1.58
O 0.1112 0.9045 0.7322  1 P 1.57
O 0.2036 0.2036 0.6159  1 P 1.51
O 0.2570 0.7107 0.1830  1 P 1.58
O 0.2583 0.4326 0.4411  1 P 1.57
O 0.2831 0.7383 0.7798  1 P 1.58
O 0.3693 0.0368 0.9926  1 P 1.53
O 0.3836 0.9592 0.6136  1 P 1.58
O 0.4326 0.2583 0.4411  1 P 1.57
O 0.4443 0.4443 0.7828  1 P 1.56
O 0.5661 0.5661 0.2021  1 P 1.55
O 0.5851 0.7547 0.5498  1 P 1.58
O 0.6244 0.0353 0.3523  1 P 1.57
O 0.6580 0.9639 0.9766  1 P 1.53
O 0.7107 0.2570 0.1830  1 P 1.58
O 0.7383 0.2831 0.7798  1 P 1.58
O 0.7547 0.5851 0.5498  1 P 1.58
O 0.8063 0.8063 0.3548  1 P 1.52
O 0.9023 0.1114 0.2506  1 P 1.58
O 0.9045 0.1112 0.7322  1 P 1.57
O 0.9592 0.3836 0.6136  1 P 1.58
O 0.9639 0.6580 0.9766  1 P 1.53

=====

Which one is most stable, and which one is least stable? #A is the most stable of them, while #B is the least stable.

=====

#A
Li8TiMn3P6O24 | GGA+U | optimized geometry

a b c (Å): 8.4464 8.5153 9.2521
angles (deg): 90.63 116.97 119.23
With the nearest neighbours (Å) after each atom.
Element x y z (fractional)
Li 0.0000 0.0000 0.0000  3 O 1.93-2.00
Li 0.0507 0.2905 0.5157  4 O 1.93-2.11
Li 0.2967 0.1558 0.3114  4 O 1.96-2.06
Li 0.3533 0.4178 0.8295  4 O 2.07-2.24
Li 0.4757 0.9451 0.5581  4 O 1.96-2.17
Li 0.6048 0.8855 0.2671  3 O 1.91-1.97
Li 0.7370 0.5681 0.5624  3 O 1.95-2.05
Li 0.8579 0.4845 0.2760  4 O 1.92-2.12
Ti 0.9682 0.3747 0.8604  5 O 1.89-2.11
Mn 0.3621 0.5737 0.4485  6 O 2.11-2.22
Mn 0.3811 0.0700 0.9741  6 O 2.04-2.27
Mn 0.9777 0.8670 0.3787  6 O 2.16-2.35
P 0.1640 0.7618 0.1652  4 O 1.53-1.58
P 0.1670 0.6698 0.6656  4 O 1.51-1.61
P 0.4684 0.4698 0.1730  4 O 1.54-1.59
P 0.4720 0.2717 0.6702  4 O 1.51-1.59
P 0.8744 0.9832 0.6576  4 O 1.53-1.58
P 0.8823 0.1761 0.1603  4 O 1.53-1.58
O 0.0149 0.3618 0.3065  1 P 1.56
O 0.0700 0.6033 0.0048  1 P 1.58
O 0.0729 0.0374 0.8274  1 P 1.53
O 0.0917 0.4674 0.7006  1 P 1.61
O 0.2237 0.9526 0.1261  1 P 1.55
O 0.2567 0.4106 0.0001  1 P 1.59
O 0.2630 0.8148 0.8256  1 P 1.51
O 0.3266 0.7136 0.6099  1 P 1.54
O 0.3373 0.0840 0.5235  1 P 1.57
O 0.3715 0.7878 0.3117  1 P 1.56
O 0.3737 0.3907 0.6134  1 P 1.56
O 0.4218 0.4209 0.3171  1 P 1.56
O 0.4791 0.2460 0.8343  1 P 1.51
O 0.5515 0.3539 0.1462  1 P 1.54
O 0.6302 0.6825 0.2195  1 P 1.54
O 0.6600 0.0595 0.1345  1 P 1.53
O 0.7018 0.7723 0.6044  1 P 1.54
O 0.7052 0.3791 0.7003  1 P 1.59
O 0.7941 0.1083 0.6846  1 P 1.58
O 0.8744 0.2260 0.9941  1 P 1.58
O 0.9195 0.0288 0.5112  1 P 1.57
O 0.9613 0.6458 0.5132  1 P 1.57
O 0.9899 0.0641 0.2028  1 P 1.56
O 0.9967 0.7039 0.2142  1 P 1.53

=====

#B
Li8TiMn3P6O24 | GGA+U | optimized geometry

a b c (Å): 8.9207 8.9207 8.9207
angles (deg): 60.85 60.85 60.85
With the nearest neighbours (Å) after each atom.
Element x y z (fractional)
Li 0.0000 0.0000 0.0000  3 O 1.96
Li 0.1634 0.7289 0.3229  3 O 1.96-2.11
Li 0.2417 0.6461 0.8311  3 O 1.94-2.11
Li 0.3229 0.1634 0.7289  3 O 1.96-2.11
Li 0.4917 0.4917 0.4917  3 O 2.05
Li 0.6461 0.8311 0.2417  3 O 1.94-2.11
Li 0.7289 0.3229 0.1634  3 O 1.96-2.11
Li 0.8311 0.2417 0.6461  3 O 1.94-2.11
Ti 0.8164 0.8164 0.8164  6 O 1.93-2.02
Mn 0.1268 0.1268 0.1268  6 O 2.08-2.31
Mn 0.3172 0.3172 0.3172  6 O 2.16-2.32
Mn 0.6226 0.6226 0.6226  6 O 2.08-2.24
P 0.0118 0.4164 0.7183  4 O 1.54-1.57
P 0.2106 0.9061 0.5216  4 O 1.53-1.59
P 0.4164 0.7183 0.0118  4 O 1.54-1.57
P 0.5216 0.2106 0.9061  4 O 1.53-1.59
P 0.7183 0.0118 0.4164  4 O 1.54-1.57
P 0.9061 0.5216 0.2106  4 O 1.53-1.59
O 0.0433 0.2340 0.8759  1 P 1.55
O 0.0507 0.8699 0.7079  1 P 1.59
O 0.0785 0.4897 0.2353  1 P 1.53
O 0.1685 0.9222 0.3646  1 P 1.54
O 0.1963 0.4156 0.5624  1 P 1.55
O 0.2340 0.8759 0.0433  1 P 1.55
O 0.2353 0.0785 0.4897  1 P 1.53
O 0.3646 0.1685 0.9222  1 P 1.54
O 0.3723 0.7277 0.5515  1 P 1.55
O 0.4156 0.5624 0.1963  1 P 1.55
O 0.4305 0.6607 0.8676  1 P 1.54
O 0.4897 0.2353 0.0785  1 P 1.53
O 0.5515 0.3723 0.7277  1 P 1.55
O 0.5624 0.1963 0.4156  1 P 1.55
O 0.5824 0.7805 0.9416  1 P 1.57
O 0.6607 0.8676 0.4305  1 P 1.54
O 0.7079 0.0507 0.8699  1 P 1.59
O 0.7277 0.5515 0.3723  1 P 1.55
O 0.7805 0.9416 0.5824  1 P 1.57
O 0.8676 0.4305 0.6607  1 P 1.54
O 0.8699 0.7079 0.0507  1 P 1.59
O 0.8759 0.0433 0.2340  1 P 1.55
O 0.9222 0.3646 0.1685  1 P 1.54
O 0.9416 0.5824 0.7805  1 P 1.57

=====

Which one is most stable, and which one is least stable? #A is the most stable of them, while #B is the least stable.